Entry 1:
Compound: PrGa2Co3
Source: Materials Project
Functional: PBE-GGA
Structure: relaxed

The calculation puts the energy relative to the elements at -1.92 eV per formula unit. Its volume is 15.5 Å³ per atom.

The structure belongs to space group P6/mmm (No. 191); the cell edges are 9.1717, 9.1717 and 3.8249 Å and the angles 90.00°, 90.00° and 120.00°. Symmetry generates all atoms from Pr at (0.0000, 0.0000, 0.0000), Pr at (0.3333, 0.6667, 0.5000), Ga at (0.0000, 0.3171, 0.5000), Co at (0.0000, 0.5000, 0.0000) and Co at (0.1825, 0.3650, 0.0000).


Entry 2:
Compound: PrGa8Co2
Source: Materials Project
Functional: PBE-GGA
Structure: relaxed

The calculation puts the energy relative to the elements at -4.10 eV per formula unit. Its volume is 16.7 Å³ per atom.

The structure belongs to space group Pbam (No. 55); the cell edges are 12.6208, 14.2936 and 4.0683 Å and the angles 90.00°, 90.00° and 90.00°. Symmetry generates all atoms from Pr at (0.1581, 0.1800, 0.0000), Ga at (0.0000, 0.0000, 0.0000), Ga at (0.0000, 0.5000, 0.5000), Ga at (0.0225, 0.8670, 0.5000), Ga at (0.0492, 0.3202, 0.5000), Ga at (0.0973, 0.7461, 0.0000), Ga at (0.1614, 0.4547, 0.0000), Ga at (0.1625, 0.6199, 0.5000), Ga at (0.1685, 0.0095, 0.5000), Ga at (0.2374, 0.8256, 0.5000), Co at (0.0358, 0.5931, 0.0000) and Co at (0.1532, 0.9038, 0.0000).


Entry 3:
Compound: PuGa5Co
Source: Materials Project
Functional: PBE-GGA
Structure: relaxed

The calculation puts the energy relative to the elements at -1.26 eV per formula unit. Its volume is 17.0 Å³ per atom.

The structure belongs to space group P4/mmm (No. 123); the cell edges are 4.2161, 4.2161 and 6.7132 Å and the angles 90.00°, 90.00° and 90.00°. Symmetry generates all atoms from Pu at (0.0000, 0.0000, 0.0000), Ga at (0.0000, 0.5000, 0.3046), Ga at (0.5000, 0.5000, 0.0000) and Co at (0.0000, 0.0000, 0.5000).


Entry 4:
Compound: Ga2CoRu
Source: Materials Project
Functional: PBE-GGA
Structure: relaxed

The calculation puts the energy relative to the elements at -1.22 eV per formula unit. Its volume is 13.0 Å³ per atom.

The structure belongs to space group Fm-3m (No. 225); the cell edges are 5.9313, 5.9313 and 5.9313 Å and the angles 90.00°, 90.00° and 90.00°. Symmetry generates all atoms from Ga at (0.2500, 0.2500, 0.2500), Co at (0.0000, 0.0000, 0.0000) and Ru at (0.0000, 0.0000, 0.5000).